Entry 1:
An optimized crystal structure of Li13Si4, computed with r²SCAN.

Lattice parameters (Å, degrees): 4.4139 7.9036 15.0094 90.00 90.00 90.00
Fractional coordinates of all 34 atoms:
Li: 0.0000 0.7679 0.1552
Li: 0.0000 0.3471 0.5250
Li: 0.0000 0.1529 0.0250
Li: 0.5000 0.7573 0.4043
Li: 0.0000 0.2321 0.8448
Li: 0.0000 0.4063 0.6936
Li: 0.0000 0.9063 0.8064
Li: 0.5000 0.5916 0.7446
Li: 0.5000 0.9065 0.6067
Li: 0.0000 0.7321 0.6552
Li: 0.5000 0.2427 0.5957
Li: 0.5000 0.2573 0.0957
Li: 0.5000 0.0935 0.3933
Li: 0.5000 0.7427 0.9043
Li: 0.5000 0.0916 0.7554
Li: 0.0000 0.2679 0.3448
Li: 0.5000 0.4084 0.2554
Li: 0.0000 0.0000 0.5000
Li: 0.0000 0.0937 0.1936
Li: 0.5000 0.4065 0.8933
Li: 0.0000 0.6529 0.4750
Li: 0.0000 0.8471 0.9750
Li: 0.5000 0.9084 0.2446
Li: 0.0000 0.5000 0.0000
Li: 0.5000 0.5935 0.1067
Li: 0.0000 0.5937 0.3064
Si: 0.5000 0.9272 0.0687
Si: 0.0000 0.5838 0.8397
Si: 0.0000 0.4162 0.1603
Si: 0.5000 0.5728 0.5687
Si: 0.0000 0.0838 0.6603
Si: 0.5000 0.4272 0.4313
Si: 0.5000 0.0728 0.9313
Si: 0.0000 0.9162 0.3397

=====

Entry 2:
An optimized crystal structure of La3Al11, computed with r²SCAN.

Lattice parameters (Å, degrees): 4.4208 8.5727 8.5727 72.20 75.05 75.05
Fractional coordinates of all 14 atoms:
La: 0.0000 0.0000 0.0000
La: 0.3167 0.6833 0.6833
La: 0.6833 0.3167 0.3167
Al: 0.0000 0.5000 0.5000
Al: 0.5000 0.7162 0.2838
Al: 0.5000 0.2838 0.7162
Al: 0.3344 0.0328 0.2985
Al: 0.6656 0.9672 0.7015
Al: 0.6656 0.7015 0.9672
Al: 0.3344 0.2985 0.0328
Al: 0.1365 0.1374 0.5894
Al: 0.8635 0.8626 0.4106
Al: 0.8635 0.4106 0.8626
Al: 0.1365 0.5894 0.1374

=====

Entry 3:
An optimized crystal structure of NaNbO3, computed with r²SCAN.

Lattice parameters (Å, degrees): 5.5016 5.5924 15.6836 90.00 90.00 90.00
Fractional coordinates of all 40 atoms:
Na: 0.2396 0.7914 0.8763
Na: 0.2396 0.7086 0.3763
Na: 0.7545 0.2236 0.6285
Na: 0.2455 0.7764 0.1285
Na: 0.7545 0.2764 0.1285
Na: 0.7604 0.2086 0.3763
Na: 0.7604 0.2914 0.8763
Na: 0.2455 0.7236 0.6285
Nb: 0.2523 0.2694 0.0010
Nb: 0.2582 0.2377 0.2517
Nb: 0.7477 0.7694 0.0010
Nb: 0.2582 0.2623 0.7517
Nb: 0.7418 0.7377 0.2517
Nb: 0.2523 0.2306 0.5010
Nb: 0.7477 0.7306 0.5010
Nb: 0.7418 0.7623 0.7517
O: 0.1754 0.2522 0.6203
O: 0.9606 0.0281 0.9744
O: 0.6716 0.7790 0.3704
O: 0.0394 0.9719 0.4744
O: 0.5458 0.4472 0.0130
O: 0.0394 0.5281 0.9744
O: 0.1754 0.2478 0.1203
O: 0.3284 0.2790 0.3704
O: 0.5458 0.0528 0.5130
O: 0.8246 0.7522 0.6203
O: 0.0409 0.5303 0.7646
O: 0.5404 0.0463 0.2254
O: 0.9606 0.4719 0.4744
O: 0.9591 0.0303 0.7646
O: 0.6716 0.7210 0.8704
O: 0.4542 0.5528 0.5130
O: 0.4542 0.9472 0.0130
O: 0.5404 0.4537 0.7254
O: 0.3284 0.2210 0.8704
O: 0.0409 0.9697 0.2646
O: 0.4596 0.5463 0.2254
O: 0.4596 0.9537 0.7254
O: 0.9591 0.4697 0.2646
O: 0.8246 0.7478 0.1203

=====

Number 1: total DFT energy (no corrections) -70.92 eV/f.u., energy of formation from the pure elements -0.282 eV/atom. Number 2: total DFT energy (no corrections) -169.18 eV/f.u., energy of formation from the pure elements -0.421 eV/atom. Number 3: total DFT energy (no corrections) -59.42 eV/f.u., energy of formation from the pure elements -2.642 eV/atom.